44
Lattice="7.186 0.000 0.000 0.000 8.106 0.000 -3.606 0.000 8.889" Properties=species:S:1:pos:R:3 comment="LiMnP2O7, optimized geometry, DFT PBE+U" e_tot_ev_per_atom=-7.0925 pbc="T T T"
Li 0.548 0.211 1.860
Li -1.256 3.842 6.305
Li 4.835 4.264 2.584
Li 3.032 7.895 7.029
Mn -0.935 0.045 6.658
Mn 0.868 4.008 2.214
Mn 2.712 4.098 6.675
Mn 4.515 8.061 2.231
P -2.264 5.742 8.482
P -0.461 6.417 4.037
P 2.855 1.911 0.348
P 1.052 2.142 4.792
P 2.528 5.964 4.097
P 0.725 6.195 8.541
P 4.041 1.689 4.852
P 5.844 2.364 0.407
O -2.743 4.655 7.511
O -0.940 7.504 3.067
O -0.716 4.981 3.587
O -2.519 7.178 8.032
O 0.917 5.597 1.069
O -0.886 6.562 5.513
O 0.025 1.149 5.235
O 1.828 2.904 0.791
O -0.941 1.652 7.726
O 0.862 2.401 3.282
O -0.678 5.428 8.372
O 1.125 6.731 3.927
O 2.897 0.626 1.209
O 1.094 3.427 5.654
O 2.486 4.679 3.235
O 0.682 7.480 7.680
O 2.455 1.375 4.962
O 4.258 2.678 0.517
O 2.717 5.705 5.607
O 4.521 6.454 1.163
O 1.752 5.202 8.098
O 3.555 6.957 3.654
O 4.466 1.544 3.376
O 2.663 2.509 7.820
O 6.098 0.928 0.857
O 4.295 3.125 5.302
O 4.520 0.602 5.822
O 6.323 3.451 1.378